Computed, not measured: a geometry-optimized Na3Mg2Mn4Be6Si9Sn3O39 structure at the GGA+U level of DFT.

Lattice parameters (Å, degrees): 18.0198 18.0198 6.9138 101.04 101.04 43.77
Element x y z (fractional)
Na: 0.0831 0.0822 0.3325
Na: 0.2502 0.2502 0.9998
Na: 0.4162 0.4168 0.6671
Na: 0.5833 0.5838 0.3329
Na: 0.7498 0.7498 0.0002
Na: 0.9178 0.9169 0.6675
Mg: 0.1296 0.8704 0.0000
Mg: 0.2032 0.4634 0.8336
Mg: 0.5366 0.7968 0.1664
Mg: 0.8708 0.1292 0.5000
Mn: 0.0377 0.2953 0.6672
Mn: 0.2972 0.0354 0.1674
Mn: 0.3687 0.6313 0.0000
Mn: 0.4618 0.2049 0.3333
Mn: 0.6310 0.3690 0.5000
Mn: 0.7047 0.9623 0.3328
Mn: 0.7951 0.5382 0.6667
Mn: 0.9646 0.7028 0.8326
Be: 0.0455 0.5418 0.0690
Be: 0.1251 0.6210 0.5970
Be: 0.2073 0.7133 0.6848
Be: 0.2867 0.7927 0.3152
Be: 0.3790 0.8749 0.4030
Be: 0.4582 0.9545 0.9310
Be: 0.5424 0.0443 0.0149
Be: 0.6224 0.1242 0.6517
Be: 0.7128 0.2084 0.7380
Be: 0.7916 0.2872 0.2620
Be: 0.8758 0.3776 0.3483
Be: 0.9557 0.4576 0.9851
Si: 0.0009 0.4997 0.6352
Si: 0.0820 0.2509 0.1663
Si: 0.0836 0.9164 0.5000
Si: 0.1665 0.6670 0.0318
Si: 0.2474 0.4192 0.3333
Si: 0.2522 0.0809 0.6672
Si: 0.3330 0.8335 0.9682
Si: 0.4152 0.5848 0.5000
Si: 0.4161 0.2505 0.8333
Si: 0.5003 0.9991 0.3648
Si: 0.5808 0.7526 0.6667
Si: 0.5854 0.4146 0.0000
Si: 0.6673 0.1668 0.3016
Si: 0.7495 0.5839 0.1667
Si: 0.7491 0.9180 0.8337
Si: 0.8332 0.3327 0.6984
Si: 0.9166 0.0834 0.0000
Si: 0.9191 0.7478 0.3328
Sn: 0.0828 0.0821 0.8325
Sn: 0.2505 0.2500 0.5013
Sn: 0.4163 0.4166 0.1649
Sn: 0.5834 0.5837 0.8351
Sn: 0.7500 0.7495 0.4987
Sn: 0.9179 0.9172 0.1675
O: 0.0014 0.4989 0.1141
O: 0.0059 0.3025 0.3461
O: 0.0313 0.3274 0.9877
O: 0.0374 0.0377 0.5734
O: 0.0380 0.0370 0.0015
O: 0.0449 0.5379 0.8165
O: 0.0654 0.7662 0.1592
O: 0.1004 0.3980 0.5069
O: 0.1260 0.1313 0.0911
O: 0.1276 0.6228 0.8499
O: 0.1321 0.1254 0.6662
O: 0.1351 0.8416 0.6818
O: 0.1584 0.8649 0.3182
O: 0.1677 0.6655 0.5542
O: 0.1745 0.4689 0.1271
O: 0.1976 0.4921 0.5396
O: 0.2030 0.2054 0.2411
O: 0.2041 0.7117 0.9320
O: 0.2082 0.2009 0.6679
O: 0.2338 0.9346 0.8408
O: 0.2682 0.5664 0.1581
O: 0.2883 0.7959 0.0680
O: 0.2933 0.2977 0.3306
O: 0.2955 0.2962 0.7586
O: 0.3029 0.0051 0.4621
O: 0.3283 0.0302 0.8715
O: 0.3345 0.8323 0.4458
O: 0.3392 0.6355 0.6799
O: 0.3645 0.6608 0.3201
O: 0.3689 0.3735 0.3359
O: 0.3703 0.3712 0.9079
O: 0.3772 0.8724 0.1501
O: 0.3994 0.1004 0.4909
O: 0.4336 0.7318 0.8419
O: 0.4606 0.4640 0.4256
O: 0.4621 0.9551 0.1835
O: 0.4652 0.4591 0.9989
O: 0.4685 0.1734 0.0114
O: 0.4934 0.1982 0.6554
O: 0.5011 0.9986 0.8859
O: 0.5079 0.8024 0.4604
O: 0.5311 0.8255 0.8729
O: 0.5360 0.5394 0.5744
O: 0.5399 0.0423 0.2643
O: 0.5409 0.5348 0.0011
O: 0.5660 0.2676 0.1755
O: 0.6020 0.8996 0.4931
O: 0.6241 0.1273 0.4027
O: 0.6265 0.6311 0.6641
O: 0.6288 0.6297 0.0921
O: 0.6364 0.3384 0.7960
O: 0.6616 0.3636 0.2040
O: 0.6684 0.1654 0.7802
O: 0.6726 0.9687 0.0123
O: 0.6975 0.9941 0.6539
O: 0.7023 0.7067 0.6694
O: 0.7038 0.7045 0.2414
O: 0.7106 0.2060 0.4833
O: 0.7324 0.4340 0.8245
O: 0.7670 0.0650 0.1748
O: 0.7940 0.2894 0.5167
O: 0.7946 0.7970 0.7589
O: 0.7991 0.7918 0.3321
O: 0.8018 0.5066 0.3446
O: 0.8266 0.5315 0.9886
O: 0.8346 0.3316 0.2198
O: 0.8419 0.1348 0.7946
O: 0.8652 0.1581 0.2054
O: 0.8687 0.8740 0.9089
O: 0.8727 0.3759 0.5973
O: 0.8746 0.8679 0.3338
O: 0.8996 0.6006 0.5091
O: 0.9350 0.2330 0.8252
O: 0.9577 0.4601 0.7357
O: 0.9623 0.9626 0.4266
O: 0.9630 0.9620 0.9985
O: 0.9698 0.6717 0.1285
O: 0.9949 0.6971 0.5379

Computed properties:
Formation energy ... -172.668 eV per formula unit
Raw total energy ... -6.96 eV/atom

Computed, not measured: a geometry-optimized Mn2BeO4 structure at the GGA+U level of DFT.

Lattice parameters (Å, degrees): 10.1230 5.9588 4.6344 90.00 90.00 90.00
Element x y z (fractional)
Mn: 0.0000 0.0000 0.0000
Mn: 0.0000 0.5000 0.0000
Mn: 0.2251 0.2500 0.4853
Mn: 0.2749 0.7500 0.9853
Mn: 0.5000 0.0000 0.5000
Mn: 0.5000 0.5000 0.5000
Mn: 0.7251 0.2500 0.0147
Mn: 0.7749 0.7500 0.5147
Be: 0.0878 0.7500 0.4228
Be: 0.4122 0.2500 0.9228
Be: 0.5878 0.7500 0.0772
Be: 0.9122 0.2500 0.5772
O: 0.0627 0.2500 0.7454
O: 0.0866 0.7500 0.7680
O: 0.1537 0.5281 0.2573
O: 0.1537 0.9719 0.2573
O: 0.3463 0.0281 0.7573
O: 0.3463 0.4719 0.7573
O: 0.4134 0.2500 0.2680
O: 0.4373 0.7500 0.2454
O: 0.5627 0.2500 0.7546
O: 0.5866 0.7500 0.7320
O: 0.6537 0.5281 0.2427
O: 0.6537 0.9719 0.2427
O: 0.8463 0.0281 0.7427
O: 0.8463 0.4719 0.7427
O: 0.9134 0.2500 0.2320
O: 0.9373 0.7500 0.2546

Computed properties:
Formation energy ... -16.002 eV per formula unit
Raw total energy ... -7.40 eV/atom

Computed, not measured: a geometry-optimized Mn4Be3Si3TeO12 structure at the GGA+U level of DFT.

Lattice parameters (Å, degrees): 8.5258 8.5258 8.5258 90.00 90.00 90.00
Element x y z (fractional)
Mn: 0.1880 0.1880 0.1880
Mn: 0.1880 0.8120 0.8120
Mn: 0.3120 0.3120 0.6880
Mn: 0.3120 0.6880 0.3120
Mn: 0.6880 0.3120 0.3120
Mn: 0.6880 0.6880 0.6880
Mn: 0.8120 0.1880 0.8120
Mn: 0.8120 0.8120 0.1880
Be: 0.0000 0.2500 0.5000
Be: 0.0000 0.7500 0.5000
Be: 0.2500 0.5000 0.0000
Be: 0.5000 0.0000 0.2500
Be: 0.5000 0.0000 0.7500
Be: 0.7500 0.5000 0.0000
Si: 0.0000 0.5000 0.2500
Si: 0.0000 0.5000 0.7500
Si: 0.2500 0.0000 0.5000
Si: 0.5000 0.2500 0.0000
Si: 0.5000 0.7500 0.0000
Si: 0.7500 0.0000 0.5000
Te: 0.0000 0.0000 0.0000
Te: 0.5000 0.5000 0.5000
O: 0.0727 0.3554 0.6446
O: 0.0727 0.6446 0.3554
O: 0.1446 0.1446 0.4273
O: 0.1446 0.4273 0.1446
O: 0.1446 0.5727 0.8554
O: 0.1446 0.8554 0.5727
O: 0.3554 0.0727 0.6446
O: 0.3554 0.3554 0.9273
O: 0.3554 0.6446 0.0727
O: 0.3554 0.9273 0.3554
O: 0.4273 0.1446 0.1446
O: 0.4273 0.8554 0.8554
O: 0.5727 0.1446 0.8554
O: 0.5727 0.8554 0.1446
O: 0.6446 0.0727 0.3554
O: 0.6446 0.3554 0.0727
O: 0.6446 0.6446 0.9273
O: 0.6446 0.9273 0.6446
O: 0.8554 0.1446 0.5727
O: 0.8554 0.4273 0.8554
O: 0.8554 0.5727 0.1446
O: 0.8554 0.8554 0.4273
O: 0.9273 0.3554 0.3554
O: 0.9273 0.6446 0.6446

Computed properties:
Formation energy ... -62.082 eV per formula unit
Raw total energy ... -7.56 eV/atom
Maximum piezoelectric response ... 0.25 C/m2

Computed, not measured: a geometry-optimized Be3Si3Ni2O12 structure at the GGA+U level of DFT.

Lattice parameters (Å, degrees): 7.6218 7.9778 13.7417 90.18 90.11 90.06
Element x y z (fractional)
Be: 0.1407 0.1115 0.4176
Be: 0.1417 0.5784 0.2347
Be: 0.1440 0.0693 0.0950
Be: 0.3560 0.5695 0.5951
Be: 0.3582 0.0786 0.7347
Be: 0.3592 0.6113 0.9177
Be: 0.6408 0.3887 0.0823
Be: 0.6418 0.9214 0.2653
Be: 0.6440 0.4305 0.4049
Be: 0.8560 0.9307 0.9050
Be: 0.8583 0.4216 0.7653
Be: 0.8593 0.8885 0.5824
Si: 0.2311 0.4215 0.7706
Si: 0.2342 0.8856 0.5743
Si: 0.2358 0.9495 0.9033
Si: 0.2641 0.4495 0.4033
Si: 0.2660 0.3857 0.0743
Si: 0.2690 0.9216 0.2707
Si: 0.7310 0.0784 0.7293
Si: 0.7340 0.6143 0.9257
Si: 0.7359 0.5505 0.5967
Si: 0.7642 0.0505 0.0967
Si: 0.7658 0.1144 0.4257
Si: 0.7689 0.5785 0.2294
Ni: 0.0505 0.2488 0.5905
Ni: 0.0613 0.7492 0.0733
Ni: 0.4389 0.2494 0.5731
Ni: 0.4494 0.7487 0.0904
Ni: 0.5506 0.2513 0.9096
Ni: 0.5611 0.7506 0.4269
Ni: 0.9387 0.2508 0.9267
Ni: 0.9495 0.7512 0.4095
O: 0.0392 0.0264 0.8844
O: 0.0411 0.4069 0.8245
O: 0.0419 0.8122 0.5428
O: 0.1164 0.2495 0.0410
O: 0.1161 0.9399 0.3537
O: 0.1197 0.5744 0.3526
O: 0.2392 0.5747 0.6914
O: 0.2434 0.4278 0.5239
O: 0.2440 0.9282 0.6910
O: 0.2461 0.5742 0.0229
O: 0.2490 0.7531 0.1987
O: 0.2496 0.2554 0.3649
O: 0.2501 0.7554 0.8650
O: 0.2508 0.2530 0.6988
O: 0.2543 0.0741 0.5230
O: 0.2561 0.4286 0.1910
O: 0.2567 0.9280 0.0240
O: 0.2613 0.0750 0.1916
O: 0.3805 0.0742 0.8527
O: 0.3833 0.7495 0.5410
O: 0.3840 0.4399 0.8540
O: 0.4579 0.3119 0.0429
O: 0.4593 0.9068 0.3246
O: 0.4608 0.5262 0.3845
O: 0.5392 0.4738 0.6155
O: 0.5407 0.0932 0.6754
O: 0.5421 0.6881 0.9571
O: 0.6160 0.5601 0.1460
O: 0.6167 0.2505 0.4590
O: 0.6195 0.9258 0.1473
O: 0.7387 0.9250 0.8084
O: 0.7433 0.0720 0.9760
O: 0.7439 0.5714 0.8090
O: 0.7457 0.9259 0.4770
O: 0.7492 0.7470 0.3012
O: 0.7499 0.2446 0.1350
O: 0.7504 0.7446 0.6351
O: 0.7510 0.2469 0.8013
O: 0.7539 0.4258 0.9771
O: 0.7560 0.0718 0.3090
O: 0.7566 0.5722 0.4761
O: 0.7608 0.4253 0.3086
O: 0.8803 0.4256 0.6474
O: 0.8839 0.0601 0.6463
O: 0.8836 0.7505 0.9590
O: 0.9581 0.1878 0.4572
O: 0.9589 0.5931 0.1755
O: 0.9608 0.9736 0.1156

Computed properties:
Formation energy ... -50.256 eV per formula unit
Raw total energy ... -6.77 eV/atom

> The highest raw total energy belongs to which entry?

Be3Si3Ni2O12

> Look up the raw total energy of the third one.

-7.56 eV/atom